{
  "formula": "Zr2InN",
  "functional": "GGA-PBE",
  "state": "relaxed",
  "lattice": [[3.321, 0.000, 0.000], [-1.660, 2.876, 0.000], [0.000, 0.000, 14.882]],
  "species": ["Zr", "Zr", "Zr", "Zr", "In", "In", "N", "N"],
  "fractional_positions": [[0.333, 0.667, 0.084], [0.333, 0.667, 0.416], [0.667, 0.333, 0.584], [0.667, 0.333, 0.916], [0.333, 0.667, 0.750], [0.667, 0.333, 0.250], [0.000, 0.000, 0.000], [0.000, 0.000, 0.500]],
  "final_energy_ev_per_atom": -8.108,
  "e_form_ev_per_atom": -1.152
}